Entry 1:
The following is a DFT calculation (PBE-GGA) of crystalline SnH58C16S4N22O18 at its relaxed geometry.

a = 7.460 Å, b = 10.771 Å, c = 16.271 Å
α = 104.81°, β = 91.77°, γ = 104.80°
Element x y z (fractional)
1 Sn 0.000 0.000 0.000
2 H 0.008 0.752 0.338
3 H 0.036 0.525 0.078
4 H 0.055 0.406 0.243
5 H 0.074 0.444 0.828
6 H 0.112 0.554 0.583
7 H 0.136 0.892 0.715
8 H 0.149 0.346 0.324
9 H 0.155 0.397 0.531
10 H 0.167 0.056 0.188
11 H 0.189 0.900 0.358
12 H 0.201 0.255 0.027
13 H 0.225 0.889 0.566
14 H 0.234 0.131 0.428
15 H 0.252 0.805 0.938
16 H 0.259 0.346 0.228
17 H 0.293 0.776 0.483
18 H 0.297 0.243 0.692
19 H 0.304 0.149 0.950
20 H 0.310 0.810 0.725
21 H 0.313 0.550 0.523
22 H 0.321 0.720 0.089
23 H 0.324 0.012 0.251
24 H 0.341 0.161 0.062
25 H 0.354 0.090 0.669
26 H 0.372 0.758 0.849
27 H 0.384 0.456 0.832
28 H 0.392 0.808 0.195
29 H 0.403 0.243 0.510
30 H 0.481 0.509 0.072
31 H 0.519 0.491 0.928
32 H 0.597 0.757 0.490
33 H 0.608 0.192 0.805
34 H 0.616 0.544 0.168
35 H 0.628 0.242 0.151
36 H 0.646 0.910 0.331
37 H 0.659 0.839 0.938
38 H 0.676 0.988 0.749
39 H 0.679 0.280 0.911
40 H 0.687 0.450 0.477
41 H 0.690 0.190 0.275
42 H 0.696 0.851 0.050
43 H 0.703 0.757 0.308
44 H 0.707 0.224 0.517
45 H 0.741 0.654 0.772
46 H 0.748 0.195 0.062
47 H 0.766 0.869 0.572
48 H 0.775 0.111 0.434
49 H 0.799 0.745 0.973
50 H 0.811 0.100 0.642
51 H 0.833 0.944 0.812
52 H 0.845 0.603 0.469
53 H 0.851 0.654 0.676
54 H 0.864 0.108 0.285
55 H 0.888 0.446 0.417
56 H 0.926 0.556 0.172
57 H 0.945 0.594 0.757
58 H 0.964 0.475 0.922
59 H 0.992 0.248 0.662
60 C 0.073 0.075 0.652
61 C 0.179 0.857 0.832
62 C 0.182 0.398 0.274
63 C 0.220 0.502 0.564
64 C 0.242 0.162 0.011
65 C 0.248 0.501 0.939
66 C 0.255 0.897 0.126
67 C 0.498 0.105 0.421
68 C 0.502 0.895 0.579
69 C 0.745 0.103 0.874
70 C 0.752 0.499 0.061
71 C 0.758 0.838 0.989
72 C 0.780 0.498 0.436
73 C 0.818 0.602 0.726
74 C 0.821 0.143 0.168
75 C 0.927 0.925 0.348
76 S 0.322 0.564 0.322
77 S 0.351 0.512 0.659
78 S 0.649 0.488 0.341
79 S 0.678 0.436 0.678
80 N 0.050 0.853 0.351
81 N 0.083 0.475 0.892
82 N 0.213 0.855 0.751
83 N 0.255 0.141 0.677
84 N 0.262 0.004 0.192
85 N 0.284 0.809 0.878
86 N 0.326 0.849 0.540
87 N 0.347 0.809 0.135
88 N 0.369 0.166 0.456
89 N 0.400 0.493 0.896
90 N 0.491 0.555 0.382
91 N 0.509 0.445 0.618
92 N 0.600 0.507 0.104
93 N 0.631 0.834 0.544
94 N 0.653 0.191 0.865
95 N 0.674 0.151 0.460
96 N 0.716 0.191 0.122
97 N 0.738 0.996 0.808
98 N 0.745 0.859 0.323
99 N 0.787 0.145 0.249
100 N 0.917 0.525 0.108
101 N 0.950 0.147 0.649
102 O 0.020 0.947 0.633
103 O 0.047 0.905 0.864
104 O 0.166 0.879 0.052
105 O 0.210 0.630 0.381
106 O 0.229 0.432 0.707
107 O 0.261 0.534 0.020
108 O 0.383 0.622 0.252
109 O 0.425 0.653 0.706
110 O 0.454 0.008 0.353
111 O 0.546 0.992 0.647
112 O 0.575 0.347 0.294
113 O 0.617 0.378 0.748
114 O 0.739 0.466 0.980
115 O 0.771 0.568 0.293
116 O 0.790 0.370 0.619
117 O 0.834 0.121 0.948
118 O 0.953 0.095 0.136
119 O 0.980 0.053 0.367

- Density: 1.5 g cm⁻³
- Total DFT energy (no corrections): -5.861 eV per atom
- Symmetry: No. 2
- Total energy after the MP2020 corrections: -709.81 eV/f.u.
- Formation energy from the elements: -0.608 eV/atom

---

Entry 2:
The following is a DFT calculation (PBE-GGA) of crystalline SmTmO3 at its relaxed geometry.

a = 5.993 Å, b = 8.403 Å, c = 5.731 Å
α = 90.00°, β = 90.00°, γ = 90.00°
Element x y z (fractional)
1 Sm 0.053 0.250 0.017
2 Sm 0.447 0.750 0.517
3 Sm 0.553 0.250 0.483
4 Sm 0.947 0.750 0.983
5 Tm 0.000 0.000 0.500
6 Tm 0.000 0.500 0.500
7 Tm 0.500 0.000 0.000
8 Tm 0.500 0.500 0.000
9 O 0.067 0.750 0.365
10 O 0.190 0.572 0.813
11 O 0.190 0.928 0.813
12 O 0.310 0.072 0.313
13 O 0.310 0.428 0.313
14 O 0.433 0.250 0.865
15 O 0.567 0.750 0.135
16 O 0.690 0.572 0.687
17 O 0.690 0.928 0.687
18 O 0.810 0.072 0.187
19 O 0.810 0.428 0.187
20 O 0.933 0.250 0.635

- Density: 8.5 g cm⁻³
- Total DFT energy (no corrections): -8.321 eV per atom
- Symmetry: No. 62
- Total energy after the MP2020 corrections: -43.67 eV/f.u.
- Formation energy from the elements: -3.926 eV/atom

---

Entry 3:
The following is a DFT calculation (PBE-GGA) of crystalline Li6Zn3P4S16 at its relaxed geometry.

a = 11.638 Å, b = 9.259 Å, c = 23.214 Å
α = 90.00°, β = 90.07°, γ = 90.00°
Element x y z (fractional)
1 Li 0.000 0.000 0.000
2 Li 0.000 0.003 0.249
3 Li 0.000 0.003 0.751
4 Li 0.000 0.014 0.500
5 Li 0.000 0.481 0.500
6 Li 0.247 0.500 0.375
7 Li 0.247 0.746 0.497
8 Li 0.248 0.496 0.627
9 Li 0.248 0.505 0.124
10 Li 0.250 0.500 0.875
11 Li 0.250 0.998 0.372
12 Li 0.492 0.248 0.377
13 Li 0.499 0.996 0.247
14 Li 0.500 0.002 0.000
15 Li 0.500 0.503 0.500
16 Li 0.500 0.990 0.500
17 Li 0.501 0.996 0.753
18 Li 0.508 0.248 0.623
19 Li 0.750 0.500 0.125
20 Li 0.750 0.998 0.628
21 Li 0.752 0.496 0.373
22 Li 0.752 0.505 0.876
23 Li 0.753 0.500 0.625
24 Li 0.753 0.746 0.503
25 Zn 0.000 0.500 0.000
26 Zn 0.001 0.500 0.251
27 Zn 0.249 0.999 0.875
28 Zn 0.250 0.000 0.125
29 Zn 0.250 0.999 0.625
30 Zn 0.498 0.506 0.248
31 Zn 0.500 0.498 0.000
32 Zn 0.502 0.506 0.752
33 Zn 0.750 0.000 0.875
34 Zn 0.750 0.999 0.375
35 Zn 0.751 0.999 0.125
36 Zn 0.999 0.500 0.749
37 P 0.001 0.750 0.875
38 P 0.003 0.750 0.373
39 P 0.250 0.250 0.000
40 P 0.251 0.247 0.750
41 P 0.252 0.248 0.501
42 P 0.256 0.254 0.249
43 P 0.494 0.748 0.623
44 P 0.500 0.750 0.124
45 P 0.500 0.750 0.876
46 P 0.506 0.748 0.377
47 P 0.744 0.254 0.751
48 P 0.748 0.248 0.499
49 P 0.749 0.247 0.250
50 P 0.750 0.250 0.000
51 P 0.997 0.750 0.627
52 P 0.999 0.750 0.125
53 S 0.101 0.629 0.429
54 S 0.103 0.634 0.181
55 S 0.104 0.869 0.322
56 S 0.105 0.630 0.680
57 S 0.105 0.635 0.931
58 S 0.109 0.869 0.573
59 S 0.111 0.864 0.073
60 S 0.112 0.864 0.823
61 S 0.139 0.364 0.052
62 S 0.141 0.366 0.801
63 S 0.143 0.364 0.301
64 S 0.145 0.135 0.944
65 S 0.147 0.137 0.694
66 S 0.150 0.137 0.194
67 S 0.151 0.368 0.553
68 S 0.155 0.120 0.449
69 S 0.354 0.134 0.806
70 S 0.354 0.135 0.055
71 S 0.358 0.132 0.302
72 S 0.359 0.369 0.448
73 S 0.361 0.126 0.556
74 S 0.361 0.363 0.948
75 S 0.361 0.373 0.195
76 S 0.364 0.368 0.699
77 S 0.388 0.862 0.176
78 S 0.389 0.626 0.572
79 S 0.389 0.866 0.928
80 S 0.391 0.870 0.677
81 S 0.394 0.639 0.820
82 S 0.395 0.867 0.426
83 S 0.397 0.635 0.069
84 S 0.401 0.630 0.322
85 S 0.599 0.630 0.678
86 S 0.603 0.635 0.931
87 S 0.605 0.867 0.574
88 S 0.606 0.639 0.180
89 S 0.609 0.870 0.323
90 S 0.611 0.626 0.428
91 S 0.611 0.866 0.072
92 S 0.612 0.862 0.824
93 S 0.636 0.368 0.301
94 S 0.639 0.126 0.444
95 S 0.639 0.363 0.052
96 S 0.639 0.373 0.805
97 S 0.641 0.369 0.552
98 S 0.642 0.132 0.698
99 S 0.646 0.134 0.194
100 S 0.646 0.135 0.945
101 S 0.845 0.120 0.551
102 S 0.849 0.368 0.447
103 S 0.850 0.137 0.806
104 S 0.853 0.137 0.306
105 S 0.855 0.135 0.056
106 S 0.857 0.364 0.699
107 S 0.859 0.366 0.199
108 S 0.861 0.364 0.948
109 S 0.888 0.864 0.177
110 S 0.889 0.864 0.927
111 S 0.891 0.869 0.427
112 S 0.895 0.630 0.320
113 S 0.895 0.635 0.069
114 S 0.896 0.869 0.678
115 S 0.897 0.634 0.819
116 S 0.899 0.629 0.571

- Density: 2.3 g cm⁻³
- Total DFT energy (no corrections): -4.280 eV per atom
- Symmetry: No. 3
- Energy above the most stable polymorph in this dataset: 2 meV/atom
- Total energy after the MP2020 corrections: -132.17 eV/f.u.
- Formation energy from the elements: -1.003 eV/atom

---

Entry 4:
The following is a DFT calculation (PBE-GGA) of crystalline Lu2Ta2O5 at its relaxed geometry.

a = 3.468 Å, b = 3.468 Å, c = 9.763 Å
α = 90.00°, β = 90.00°, γ = 90.00°
Element x y z (fractional)
1 Lu 0.000 0.000 0.236
2 Lu 0.000 0.000 0.764
3 Ta 0.500 0.500 0.000
4 Ta 0.500 0.500 0.500
5 O 0.000 0.000 0.000
6 O 0.000 0.500 0.376
7 O 0.000 0.500 0.624
8 O 0.500 0.000 0.376
9 O 0.500 0.000 0.624

- Density: 11.2 g cm⁻³
- Total DFT energy (no corrections): -8.695 eV per atom
- Symmetry: No. 123
- Total energy after the MP2020 corrections: -81.69 eV/f.u.
- Formation energy from the elements: -2.689 eV/atom

---

Entry 5:
The following is a DFT calculation (PBE-GGA) of crystalline La6Zr8F47 at its relaxed geometry.

a = 11.015 Å, b = 11.015 Å, c = 12.688 Å
α = 124.63°, β = 124.63°, γ = 71.12°
Element x y z (fractional)
1 La 0.000 0.000 0.000
2 La 0.245 0.499 0.623
3 La 0.377 0.129 0.880
4 La 0.501 0.755 0.377
5 La 0.745 0.255 0.500
6 La 0.871 0.623 0.120
7 Zr 0.113 0.025 0.410
8 Zr 0.124 0.532 0.907
9 Zr 0.278 0.381 0.252
10 Zr 0.468 0.876 0.093
11 Zr 0.619 0.722 0.748
12 Zr 0.622 0.220 0.749
13 Zr 0.780 0.378 0.251
14 Zr 0.975 0.887 0.590
15 F 0.027 0.551 0.014
16 F 0.041 0.738 0.933
17 F 0.073 0.927 0.500
18 F 0.105 0.531 0.249
19 F 0.113 0.016 0.236
20 F 0.114 0.223 0.102
21 F 0.124 0.521 0.739
22 F 0.133 0.719 0.608
23 F 0.151 0.039 0.774
24 F 0.203 0.233 0.525
25 F 0.261 0.381 0.406
26 F 0.262 0.959 0.067
27 F 0.269 0.356 0.881
28 F 0.281 0.867 0.392
29 F 0.306 0.285 0.073
30 F 0.306 0.636 0.109
31 F 0.364 0.694 0.891
32 F 0.385 0.562 0.335
33 F 0.438 0.615 0.665
34 F 0.449 0.973 0.986
35 F 0.467 0.388 0.745
36 F 0.469 0.895 0.751
37 F 0.479 0.876 0.261
38 F 0.482 0.297 0.348
39 F 0.522 0.197 0.832
40 F 0.547 0.014 0.572
41 F 0.608 0.228 0.098
42 F 0.612 0.533 0.255
43 F 0.619 0.243 0.597
44 F 0.619 0.739 0.594
45 F 0.629 0.037 0.265
46 F 0.644 0.731 0.119
47 F 0.703 0.518 0.652
48 F 0.715 0.694 0.927
49 F 0.757 0.381 0.403
50 F 0.767 0.797 0.475
51 F 0.772 0.392 0.902
52 F 0.777 0.886 0.898
53 F 0.802 0.118 0.852
54 F 0.803 0.478 0.168
55 F 0.849 0.065 0.568
56 F 0.882 0.198 0.148
57 F 0.935 0.151 0.432
58 F 0.961 0.849 0.226
59 F 0.963 0.371 0.735
60 F 0.984 0.887 0.764
61 F 0.986 0.453 0.428

- Density: 3.9 g cm⁻³
- Total DFT energy (no corrections): -6.832 eV per atom
- Symmetry: No. 5
- Total energy after the MP2020 corrections: -438.48 eV/f.u.
- Formation energy from the elements: -4.107 eV/atom

---

Entry 6:
The following is a DFT calculation (PBE-GGA) of crystalline VCl4 at its relaxed geometry.

a = 10.019 Å, b = 6.818 Å, c = 10.297 Å
α = 90.00°, β = 102.20°, γ = 90.00°
Element x y z (fractional)
1 V 0.249 0.076 0.365
2 V 0.249 0.424 0.865
3 V 0.751 0.576 0.135
4 V 0.751 0.924 0.635
5 Cl 0.078 0.074 0.200
6 Cl 0.078 0.426 0.700
7 Cl 0.195 0.571 0.030
8 Cl 0.195 0.929 0.530
9 Cl 0.307 0.128 0.918
10 Cl 0.307 0.372 0.418
11 Cl 0.415 0.575 0.806
12 Cl 0.415 0.925 0.306
13 Cl 0.585 0.075 0.694
14 Cl 0.585 0.425 0.194
15 Cl 0.693 0.628 0.582
16 Cl 0.693 0.872 0.082
17 Cl 0.805 0.071 0.470
18 Cl 0.805 0.429 0.970
19 Cl 0.922 0.574 0.300
20 Cl 0.922 0.926 0.800

- Density: 1.9 g cm⁻³
- Total DFT energy (no corrections): -4.443 eV per atom
- Symmetry: No. 14
- Total energy after the MP2020 corrections: -24.67 eV/f.u.
- Formation energy from the elements: -1.638 eV/atom

---

Entry 7:
The following is a DFT calculation (PBE-GGA) of crystalline Er2Mn3Ga at its relaxed geometry.

a = 5.277 Å, b = 5.277 Å, c = 5.277 Å
α = 61.15°, β = 61.15°, γ = 61.15°
Element x y z (fractional)
1 Er 0.123 0.123 0.123
2 Er 0.877 0.877 0.877
3 Mn 0.000 0.500 0.500
4 Mn 0.500 0.000 0.500
5 Mn 0.500 0.500 0.000
6 Ga 0.500 0.500 0.500

- Density: 8.9 g cm⁻³
- Total DFT energy (no corrections): -6.688 eV per atom
- Symmetry: No. 166
- Energy above the most stable polymorph in this dataset: 6 meV/atom
- Formation energy from the elements: -0.079 eV/atom

---

Entry 8:
The following is a DFT calculation (PBE-GGA) of crystalline TmHg3 at its relaxed geometry.

a = 6.595 Å, b = 6.595 Å, c = 4.985 Å
α = 90.00°, β = 90.00°, γ = 120.00°
Element x y z (fractional)
1 Tm 0.333 0.667 0.250
2 Tm 0.667 0.333 0.750
3 Hg 0.167 0.335 0.750
4 Hg 0.167 0.833 0.750
5 Hg 0.335 0.167 0.250
6 Hg 0.665 0.833 0.750
7 Hg 0.833 0.167 0.250
8 Hg 0.833 0.665 0.250

- Density: 13.6 g cm⁻³
- Total DFT energy (no corrections): -1.658 eV per atom
- Symmetry: No. 194
- Formation energy from the elements: -0.311 eV/atom